# CsH2SNO3 | the Materials Project | PBE | optimized geometry
# * distance to the lowest polymorph of the same formula: 0.00 kJ per mole of atoms
# * E_form: -1415 meV/atom
# * crystal system: monoclinic
# * E_tot: -177.011 eV for the cell shown
data_CsH2SNO3
_chemical_formula_sum 'Cs4 H8 S4 N4 O12'
_space_group_name_H-M_alt 'P 1 21/c 1'
_space_group_IT_number 14
_cell_length_a 8.323
_cell_length_b 7.654
_cell_length_c 8.723
_cell_angle_alpha 90.00
_cell_angle_beta 115.27
_cell_angle_gamma 90.00
loop_
_space_group_symop_operation_xyz
'x,y,z'
'-x,-y,-z'
'-x,y+1/2,-z+1/2'
'x,-y+1/2,z+1/2'
loop_
_atom_site_label
_atom_site_fract_x
_atom_site_fract_y
_atom_site_fract_z
Cs1 0.184 0.146 0.440
H1 0.357 0.617 0.736
H2 0.470 0.008 0.159
S1 0.271 0.652 0.455
N1 0.346 0.537 0.636
O1 0.102 0.728 0.434
O2 0.254 0.519 0.326
O3 0.404 0.713 0.969

# Cs2SnH12N6 | the Materials Project | PBE | optimized geometry
# * E_form: -393 meV/atom
# * crystal system: trigonal
# * E_tot: -102.626 eV for the cell shown
data_Cs2SnH12N6
_chemical_formula_sum 'Cs2 Sn1 H12 N6'
_space_group_name_H-M_alt 'P -3'
_space_group_IT_number 147
_cell_length_a 7.0364
_cell_length_b 7.0364
_cell_length_c 6.0020
_cell_angle_alpha 90.00
_cell_angle_beta 90.00
_cell_angle_gamma 120.00
loop_
_space_group_symop_operation_xyz
'x,y,z'
'-x,-y,-z'
'-y,x-y,z'
'y,-x+y,-z'
'-x+y,-x,z'
'x-y,x,-z'
loop_
_atom_site_label
_atom_site_fract_x
_atom_site_fract_y
_atom_site_fract_z
Cs1 0.3333 0.6667 0.2783
Sn1 0.0000 0.0000 0.0000
H1 0.1085 0.2579 0.6299
H2 0.1443 0.7395 0.8340
N1 0.0997 0.2971 0.7931

# Cs6Na2Nb6H36O37 | the Materials Project | PBE | optimized geometry
# * E_form: -1851 meV/atom
# * crystal system: trigonal
# * E_tot: -1528.392 eV for the cell shown
data_Cs6Na2Nb6H36O37
_chemical_formula_sum 'Cs18 Na6 Nb18 H108 O111'
_space_group_name_H-M_alt 'R -3'
_space_group_IT_number 148
_space_group_name_Hall '-R 3'
_cell_length_a 12.7701
_cell_length_b 12.7701
_cell_length_c 22.9037
_cell_angle_alpha 90.00
_cell_angle_beta 90.00
_cell_angle_gamma 120.00
loop_
_atom_site_label
_atom_site_fract_x
_atom_site_fract_y
_atom_site_fract_z
Cs1 0.0236 0.7204 0.2488
Na1 0.0000 0.0000 0.2828
Nb1 0.0001 0.1541 0.9391
H1 0.0007 0.8604 0.8252
H2 0.0182 0.2571 0.5448
H3 0.0244 0.7852 0.7774
H4 0.0449 0.1579 0.6128
H5 0.0670 0.1795 0.5116
H6 0.0720 0.5370 0.3228
O1 0.0000 0.0000 0.0000
O2 0.0000 0.1267 0.0993
O3 0.0007 0.8478 0.7821
O4 0.0020 0.2739 0.8940
O5 0.0023 0.8288 0.4647
O6 0.0804 0.5395 0.6669
O7 0.0838 0.1715 0.6514

# CsNa3P4H6O15 | the Materials Project | PBE | optimized geometry
# * E_form: -2213 meV/atom
# * crystal system: monoclinic
# * E_tot: -699.807 eV for the cell shown
data_CsNa3P4H6O15
_chemical_formula_sum 'Cs4 Na12 P16 H24 O60'
_space_group_name_H-M_alt 'P 1 21/c 1'
_space_group_IT_number 14
_cell_length_a 11.688
_cell_length_b 11.017
_cell_length_c 11.882
_cell_angle_alpha 90.00
_cell_angle_beta 95.40
_cell_angle_gamma 90.00
loop_
_space_group_symop_operation_xyz
'x,y,z'
'-x,-y,-z'
'-x,y+1/2,-z+1/2'
'x,-y+1/2,z+1/2'
loop_
_atom_site_label
_atom_site_fract_x
_atom_site_fract_y
_atom_site_fract_z
Cs1 0.249 0.226 0.272
Na1 0.000 0.000 0.000
Na2 0.115 0.624 0.288
Na3 0.391 0.658 0.213
Na4 0.500 0.000 0.500
P1 0.012 0.188 0.498
P2 0.189 0.512 0.032
P3 0.323 0.509 0.503
P4 0.494 0.198 0.031
H1 0.005 0.642 0.677
H2 0.070 0.557 0.765
H3 0.257 0.638 0.717
H4 0.265 0.644 0.846
H5 0.448 0.525 0.735
H6 0.474 0.112 0.685
O1 0.002 0.201 0.069
O2 0.010 0.200 0.372
O3 0.016 0.555 0.698
O4 0.084 0.591 0.967
O5 0.129 0.120 0.549
O6 0.207 0.501 0.438
O7 0.223 0.560 0.147
O8 0.248 0.695 0.779
O9 0.277 0.000 0.448
O10 0.333 0.528 0.629
O11 0.394 0.111 0.970
O12 0.395 0.611 0.440
O13 0.463 0.237 0.145
O14 0.483 0.709 0.056
O15 0.491 0.025 0.701

# CsNa3P4H8O16 | the Materials Project | PBE | optimized geometry
# * E_form: -2122 meV/atom
# * crystal system: orthorhombic
# * E_tot: -379.458 eV for the cell shown
data_CsNa3P4H8O16
_chemical_formula_sum 'Cs2 Na6 P8 H16 O32'
_space_group_name_H-M_alt 'I m m 2'
_space_group_IT_number 44
_cell_length_a 7.872
_cell_length_b 14.577
_cell_length_c 7.171
_cell_angle_alpha 90.00
_cell_angle_beta 90.00
_cell_angle_gamma 90.00
loop_
_space_group_symop_operation_xyz
'x,y,z'
'-x,-y,z'
'-x,y,z'
'x,-y,z'
'x+1/2,y+1/2,z+1/2'
'-x+1/2,-y+1/2,z+1/2'
'-x+1/2,y+1/2,z+1/2'
'x+1/2,-y+1/2,z+1/2'
loop_
_atom_site_label
_atom_site_fract_x
_atom_site_fract_y
_atom_site_fract_z
Cs1 0.000 0.000 0.000
Na1 0.000 0.278 0.273
Na2 0.000 0.500 0.310
P1 0.194 0.102 0.510
H1 0.099 0.239 0.910
H2 0.099 0.358 0.649
O1 0.000 0.106 0.586
O2 0.000 0.210 0.969
O3 0.000 0.367 0.567
O4 0.198 0.395 0.181
O5 0.200 0.000 0.413
O6 0.221 0.168 0.351

# CsNa2H3S3O12 | the Materials Project | PBE | optimized geometry
# * E_form: -1925 meV/atom
# * crystal system: cubic
# * E_tot: -470.776 eV for the cell shown
data_CsNa2H3S3O12
_chemical_formula_sum 'Cs4 Na8 H12 S12 O48'
_space_group_name_H-M_alt 'P 21 3'
_space_group_IT_number 198
_space_group_name_Hall 'P 2ac 2ab 3'
_cell_length_a 10.716
_cell_length_b 10.716
_cell_length_c 10.716
_cell_angle_alpha 90.00
_cell_angle_beta 90.00
_cell_angle_gamma 90.00
loop_
_atom_site_label
_atom_site_fract_x
_atom_site_fract_y
_atom_site_fract_z
Cs1 0.052 0.052 0.052
Na1 0.099 0.901 0.401
Na2 0.172 0.672 0.828
H1 0.001 0.359 0.828
S1 0.015 0.713 0.122
O1 0.016 0.797 0.229
O2 0.021 0.100 0.749
O3 0.029 0.580 0.158
O4 0.070 0.875 0.731

# CsHO | the Materials Project | PBE | optimized geometry
# * piezoelectric modulus e_max: 0.6 C/m²
# * E_form: -1493 meV/atom
# * crystal system: orthorhombic
# * E_tot: -52.109 eV for the cell shown
data_CsHO
_chemical_formula_sum 'Cs4 H4 O4'
_space_group_name_H-M_alt 'C m c 21'
_space_group_IT_number 36
_cell_length_a 4.489
_cell_length_b 12.085
_cell_length_c 4.547
_cell_angle_alpha 90.00
_cell_angle_beta 90.00
_cell_angle_gamma 90.00
loop_
_space_group_symop_operation_xyz
'x,y,z'
'-x,-y,z+1/2'
'-x,y,z'
'x,-y,z+1/2'
'x+1/2,y+1/2,z'
'-x+1/2,-y+1/2,z+1/2'
'-x+1/2,y+1/2,z'
'x+1/2,-y+1/2,z+1/2'
loop_
_atom_site_label
_atom_site_fract_x
_atom_site_fract_y
_atom_site_fract_z
Cs1 0.000 0.140 0.000
H1 0.000 0.451 0.876
O1 0.000 0.388 0.011

# CsHO | the Materials Project | PBE | optimized geometry
# * piezoelectric modulus e_max: 3.7 C/m²
# * E_form: -1463 meV/atom
# * crystal system: orthorhombic
# * E_tot: -51.748 eV for the cell shown
data_CsHO
_chemical_formula_sum 'Cs4 H4 O4'
_space_group_name_H-M_alt 'P 21 21 21'
_space_group_IT_number 19
_cell_length_a 4.413
_cell_length_b 4.469
_cell_length_c 13.189
_cell_angle_alpha 90.00
_cell_angle_beta 90.00
_cell_angle_gamma 90.00
loop_
_space_group_symop_operation_xyz
'x,y,z'
'-x+1/2,-y,z+1/2'
'x+1/2,-y+1/2,-z'
'-x,y+1/2,-z+1/2'
loop_
_atom_site_label
_atom_site_fract_x
_atom_site_fract_y
_atom_site_fract_z
Cs1 0.249 0.008 0.150
H1 0.144 0.003 0.445
O1 0.234 0.999 0.884